[1]
# meta-GGA r2SCAN CdSnP2, relaxed
# * calculated volume: 25.5 Å³ per atom
# * density: 4.76 g cm⁻³
# * formation energy from the elements: -0.63 eV per formula unit
# * total DFT energy (no corrections): -15.872 eV per atom
# * total magnetic moment: 0.000 Bohr magnetons per cell
data_CdSnP2
_chemical_formula_sum 'Cd4 Sn4 P8'
_cell_length_a 5.931
_cell_length_b 5.931
_cell_length_c 11.618
_cell_angle_alpha 90.00
_cell_angle_beta 90.00
_cell_angle_gamma 90.00
_space_group_name_H-M_alt 'I -4 2 d'
_space_group_IT_number 122
_space_group_name_Hall 'I -4 2bw'
loop_
_atom_site_label
_atom_site_fract_x
_atom_site_fract_y
_atom_site_fract_z
Cd1 0.000 0.000 0.000
Sn1 0.000 0.000 0.500
P1 0.242 0.250 0.625



[2]
# meta-GGA r2SCAN Pm2CdPb, relaxed
# * calculated volume: 28.5 Å³ per atom
# * density: 8.88 g cm⁻³
# * formation energy from the elements: -2.14 eV per formula unit
# * total DFT energy (no corrections): -34.403 eV per atom
# * total magnetic moment: 0.000 Bohr magnetons per cell
data_Pm2CdPb
_chemical_formula_sum 'Pm8 Cd4 Pb4'
_cell_length_a 7.696
_cell_length_b 7.696
_cell_length_c 7.696
_cell_angle_alpha 90.00
_cell_angle_beta 90.00
_cell_angle_gamma 90.00
_space_group_name_H-M_alt 'F m -3 m'
_space_group_IT_number 225
_space_group_name_Hall '-F 4 2 3'
loop_
_atom_site_label
_atom_site_fract_x
_atom_site_fract_y
_atom_site_fract_z
Pm1 0.250 0.250 0.250
Cd1 0.000 0.000 0.000
Pb1 0.000 0.000 0.500



[3]
# meta-GGA r2SCAN Cd4Te5Pb, relaxed
# * calculated volume: 37.6 Å³ per atom
# * density: 5.72 g cm⁻³
# * formation energy from the elements: -4.87 eV per formula unit
# * total DFT energy (no corrections): -26.866 eV per atom
# * total magnetic moment: 0.000 Bohr magnetons per cell
data_Cd4Te5Pb
_chemical_formula_sum 'Cd8 Te10 Pb2'
_cell_length_a 4.666
_cell_length_b 24.175
_cell_length_c 6.665
_cell_angle_alpha 90.00
_cell_angle_beta 90.00
_cell_angle_gamma 90.00
_space_group_name_H-M_alt 'I m m 2'
_space_group_IT_number 44
loop_
_space_group_symop_operation_xyz
'x,y,z'
'-x,-y,z'
'-x,y,z'
'x,-y,z'
'x+1/2,y+1/2,z+1/2'
'-x+1/2,-y+1/2,z+1/2'
'-x+1/2,y+1/2,z+1/2'
'x+1/2,-y+1/2,z+1/2'
loop_
_atom_site_label
_atom_site_fract_x
_atom_site_fract_y
_atom_site_fract_z
Cd1 0.000 0.107 0.000
Cd2 0.000 0.294 0.007
Te1 0.000 0.000 0.197
Te2 0.000 0.200 0.261
Te3 0.000 0.389 0.259
Pb1 0.000 0.500 0.003



[4]
# meta-GGA r2SCAN Yb2CdPb, relaxed
# * calculated volume: 25.3 Å³ per atom
# * density: 10.94 g cm⁻³
# * formation energy from the elements: -1.56 eV per formula unit
# * total DFT energy (no corrections): -37.752 eV per atom
# * total magnetic moment: 0.000 Bohr magnetons per cell
data_Yb2CdPb
_chemical_formula_sum 'Yb8 Cd4 Pb4'
_cell_length_a 7.394
_cell_length_b 7.394
_cell_length_c 7.394
_cell_angle_alpha 90.00
_cell_angle_beta 90.00
_cell_angle_gamma 90.00
_space_group_name_H-M_alt 'F m -3 m'
_space_group_IT_number 225
_space_group_name_Hall '-F 4 2 3'
loop_
_atom_site_label
_atom_site_fract_x
_atom_site_fract_y
_atom_site_fract_z
Yb1 0.250 0.250 0.250
Cd1 0.000 0.000 0.000
Pb1 0.000 0.000 0.500



[5]
# meta-GGA r2SCAN Cd3Pd, relaxed
# * calculated volume: 18.7 Å³ per atom
# * density: 9.86 g cm⁻³
# * formation energy from the elements: -0.96 eV per formula unit
# * total DFT energy (no corrections): -21.058 eV per atom
# * total magnetic moment: 0.000 Bohr magnetons per cell
data_Cd3Pd
_chemical_formula_sum 'Cd6 Pd2'
_cell_length_a 4.142
_cell_length_b 4.142
_cell_length_c 8.707
_cell_angle_alpha 90.00
_cell_angle_beta 90.00
_cell_angle_gamma 90.00
_space_group_name_H-M_alt 'I 4/m m m'
_space_group_IT_number 139
_space_group_name_Hall '-I 4 2'
loop_
_atom_site_label
_atom_site_fract_x
_atom_site_fract_y
_atom_site_fract_z
Cd1 0.000 0.000 0.000
Cd2 0.000 0.500 0.250
Pd1 0.000 0.000 0.500



[6]
# meta-GGA r2SCAN Cd3Pd, relaxed
# * calculated volume: 18.7 Å³ per atom
# * density: 9.85 g cm⁻³
# * formation energy from the elements: -0.96 eV per formula unit
# * total DFT energy (no corrections): -21.059 eV per atom
# * total magnetic moment: 0.000 Bohr magnetons per cell
data_Cd3Pd
_chemical_formula_sum 'Cd6 Pd2'
_cell_length_a 5.9796
_cell_length_b 5.9796
_cell_length_c 4.8301
_cell_angle_alpha 90.00
_cell_angle_beta 90.00
_cell_angle_gamma 120.00
_space_group_name_H-M_alt 'P 63/m m c'
_space_group_IT_number 194
_space_group_name_Hall '-P 6c 2c'
loop_
_atom_site_label
_atom_site_fract_x
_atom_site_fract_y
_atom_site_fract_z
Cd1 0.1709 0.3418 0.2500
Pd1 0.3333 0.6667 0.7500



[7]
# meta-GGA r2SCAN Cd3Pd, relaxed
# * calculated volume: 18.6 Å³ per atom
# * density: 9.88 g cm⁻³
# * formation energy from the elements: -0.95 eV per formula unit
# * total DFT energy (no corrections): -21.057 eV per atom
# * total magnetic moment: 0.000 Bohr magnetons per cell
data_Cd3Pd
_chemical_formula_sum 'Cd3 Pd1'
_cell_length_a 4.208
_cell_length_b 4.208
_cell_length_c 4.208
_cell_angle_alpha 90.00
_cell_angle_beta 90.00
_cell_angle_gamma 90.00
_space_group_name_H-M_alt 'P m -3 m'
_space_group_IT_number 221
_space_group_name_Hall '-P 4 2 3'
loop_
_atom_site_label
_atom_site_fract_x
_atom_site_fract_y
_atom_site_fract_z
Cd1 0.000 0.000 0.500
Pd1 0.500 0.500 0.500



[8]
# meta-GGA r2SCAN PmCdPd2, relaxed
# * calculated volume: 20.1 Å³ per atom
# * density: 9.72 g cm⁻³
# * formation energy from the elements: -2.76 eV per formula unit
# * total DFT energy (no corrections): -24.581 eV per atom
# * total magnetic moment: 0.000 Bohr magnetons per cell
data_PmCdPd2
_chemical_formula_sum 'Pm4 Cd4 Pd8'
_cell_length_a 6.849
_cell_length_b 6.849
_cell_length_c 6.849
_cell_angle_alpha 90.00
_cell_angle_beta 90.00
_cell_angle_gamma 90.00
_space_group_name_H-M_alt 'F m -3 m'
_space_group_IT_number 225
_space_group_name_Hall '-F 4 2 3'
loop_
_atom_site_label
_atom_site_fract_x
_atom_site_fract_y
_atom_site_fract_z
Pm1 0.000 0.000 0.000
Cd1 0.000 0.000 0.500
Pd1 0.250 0.250 0.250



[9]
# meta-GGA r2SCAN Pr6Cd4Pd13, relaxed
# * calculated volume: 20.7 Å³ per atom
# * density: 9.32 g cm⁻³
# * formation energy from the elements: -17.41 eV per formula unit
# * total DFT energy (no corrections): -24.902 eV per atom
# * total magnetic moment: 0.000 Bohr magnetons per cell
data_Pr6Cd4Pd13
_chemical_formula_sum 'Pr12 Cd8 Pd26'
_cell_length_a 9.844
_cell_length_b 9.844
_cell_length_c 9.844
_cell_angle_alpha 90.00
_cell_angle_beta 90.00
_cell_angle_gamma 90.00
_space_group_name_H-M_alt 'I m -3 m'
_space_group_IT_number 229
_space_group_name_Hall '-I 4 2 3'
loop_
_atom_site_label
_atom_site_fract_x
_atom_site_fract_y
_atom_site_fract_z
Pr1 0.000 0.000 0.303
Cd1 0.250 0.250 0.250
Pd1 0.000 0.000 0.000
Pd2 0.000 0.340 0.340



[10]
# meta-GGA r2SCAN PrCdPd, relaxed
# * calculated volume: 23.3 Å³ per atom
# * density: 8.53 g cm⁻³
# * formation energy from the elements: -2.08 eV per formula unit
# * total DFT energy (no corrections): -24.850 eV per atom
# * total magnetic moment: 0.000 Bohr magnetons per cell
data_PrCdPd
_chemical_formula_sum 'Pr3 Cd3 Pd3'
_cell_length_a 7.7164
_cell_length_b 7.7164
_cell_length_c 4.0728
_cell_angle_alpha 90.00
_cell_angle_beta 90.00
_cell_angle_gamma 120.00
_space_group_name_H-M_alt 'P -6 2 m'
_space_group_IT_number 189
_space_group_name_Hall 'P -6 -2'
loop_
_atom_site_label
_atom_site_fract_x
_atom_site_fract_y
_atom_site_fract_z
Pr1 0.0000 0.5935 0.0000
Cd1 0.0000 0.2504 0.5000
Pd1 0.0000 0.0000 0.0000
Pd2 0.3333 0.6667 0.5000



[11]
# meta-GGA r2SCAN Pr4CdPd, relaxed
# * calculated volume: 30.1 Å³ per atom
# * density: 7.19 g cm⁻³
# * formation energy from the elements: -2.46 eV per formula unit
# * total DFT energy (no corrections): -27.190 eV per atom
# * total magnetic moment: 0.019 Bohr magnetons per cell
data_Pr4CdPd
_chemical_formula_sum 'Pr64 Cd16 Pd16'
_cell_length_a 14.245
_cell_length_b 14.245
_cell_length_c 14.245
_cell_angle_alpha 90.00
_cell_angle_beta 90.00
_cell_angle_gamma 90.00
_space_group_name_H-M_alt 'F -4 3 m'
_space_group_IT_number 216
_space_group_name_Hall 'F -4 2 3'
loop_
_atom_site_label
_atom_site_fract_x
_atom_site_fract_y
_atom_site_fract_z
Pr1 0.000 0.000 0.186
Pr2 0.057 0.250 0.750
Pr3 0.101 0.101 0.399
Cd1 0.171 0.171 0.171
Pd1 0.106 0.106 0.606



[12]
# meta-GGA r2SCAN ScCdPd2, relaxed
# * calculated volume: 17.4 Å³ per atom
# * density: 8.86 g cm⁻³
# * formation energy from the elements: -2.95 eV per formula unit
# * total DFT energy (no corrections): -20.094 eV per atom
# * total magnetic moment: 0.000 Bohr magnetons per cell
data_ScCdPd2
_chemical_formula_sum 'Sc4 Cd4 Pd8'
_cell_length_a 6.524
_cell_length_b 6.524
_cell_length_c 6.524
_cell_angle_alpha 90.00
_cell_angle_beta 90.00
_cell_angle_gamma 90.00
_space_group_name_H-M_alt 'F m -3 m'
_space_group_IT_number 225
_space_group_name_Hall '-F 4 2 3'
loop_
_atom_site_label
_atom_site_fract_x
_atom_site_fract_y
_atom_site_fract_z
Sc1 0.000 0.000 0.000
Cd1 0.000 0.000 0.500
Pd1 0.250 0.250 0.250